# 1
Crystalline Pr3Ni13B2 at its relaxed geometry. Source: the Materials Project database, functional PBE.

Results
The value obtained for the formation energy from the elements is -0.349 eV/atom. The magnetic moment comes out at 1.3 μB per cell. Its symmetry is P6/mmm (191). For the calculated total energy, the calculation gives -0.2228 hartree per atom.

Cell: 5.048 5.046 10.960 Å, 90.00 90.00 120.01°
Fractional coordinates of all 18 atoms:
Ni: 0.500 0.000 0.867
Ni: 0.333 0.667 0.681
Ni: 0.500 0.500 0.867
Ni: 0.500 0.000 0.500
Ni: 0.500 0.000 0.133
Ni: 0.000 0.500 0.133
Ni: 0.667 0.333 0.681
Ni: 0.500 0.500 0.133
Ni: 0.667 0.333 0.319
Ni: 0.000 0.500 0.867
Ni: 0.333 0.667 0.319
Ni: 0.000 0.500 0.500
Ni: 0.500 0.500 0.500
B: 0.333 0.667 0.000
B: 0.667 0.333 0.000
Pr: 0.000 0.000 0.330
Pr: 0.000 0.000 0.000
Pr: 0.000 0.000 0.670

# 2
Crystalline Ba20Zn5Hg99 at its relaxed geometry. Source: the Materials Project database, functional PBE.

Results
The value obtained for the formation energy from the elements is -0.295 eV/atom. The magnetic moment comes out at 2.2 μB per cell. Its symmetry is F-43m (216). For the calculated total energy, the calculation gives -0.0330 hartree per atom.

Cell: 17.105 17.105 17.105 Å, 60.00 60.00 60.00°
Fractional coordinates of all 124 atoms:
Ba: 0.597 0.597 0.210
Ba: 0.815 0.185 0.185
Ba: 0.844 0.844 0.844
Ba: 0.051 0.051 0.449
Ba: 0.449 0.051 0.449
Ba: 0.844 0.844 0.469
Ba: 0.597 0.210 0.597
Ba: 0.815 0.185 0.815
Ba: 0.051 0.449 0.051
Ba: 0.449 0.051 0.051
Ba: 0.185 0.185 0.815
Ba: 0.844 0.469 0.844
Ba: 0.210 0.597 0.597
Ba: 0.815 0.815 0.185
Ba: 0.185 0.815 0.815
Ba: 0.597 0.597 0.597
Ba: 0.051 0.449 0.449
Ba: 0.469 0.844 0.844
Ba: 0.185 0.815 0.185
Ba: 0.449 0.449 0.051
Hg: 0.826 0.648 0.418
Hg: 0.638 0.454 0.454
Hg: 0.201 0.201 0.396
Hg: 0.929 0.214 0.929
Hg: 0.969 0.796 0.618
Hg: 0.214 0.929 0.929
Hg: 0.618 0.618 0.969
Hg: 0.064 0.064 0.808
Hg: 0.648 0.826 0.418
Hg: 0.826 0.418 0.108
Hg: 0.064 0.808 0.064
Hg: 0.966 0.236 0.561
Hg: 0.454 0.638 0.454
Hg: 0.827 0.267 0.453
Hg: 0.236 0.236 0.561
Hg: 0.418 0.648 0.108
Hg: 0.648 0.418 0.826
Hg: 0.999 0.707 0.295
Hg: 0.108 0.418 0.826
Hg: 0.267 0.827 0.453
Hg: 0.453 0.453 0.827
Hg: 0.453 0.267 0.827
Hg: 0.618 0.618 0.796
Hg: 0.707 0.999 0.295
Hg: 0.999 0.707 0.999
Hg: 0.648 0.108 0.418
Hg: 0.966 0.236 0.236
Hg: 0.201 0.396 0.201
Hg: 0.827 0.453 0.267
Hg: 0.418 0.108 0.826
Hg: 0.929 0.929 0.214
Hg: 0.327 0.327 0.673
Hg: 0.999 0.999 0.707
Hg: 0.327 0.327 0.327
Hg: 0.295 0.999 0.999
Hg: 0.236 0.561 0.966
Hg: 0.020 0.327 0.327
Hg: 0.561 0.236 0.966
Hg: 0.999 0.295 0.999
Hg: 0.796 0.618 0.969
Hg: 0.267 0.453 0.827
Hg: 0.707 0.999 0.999
Hg: 0.999 0.295 0.707
Hg: 0.236 0.236 0.966
Hg: 0.418 0.826 0.648
Hg: 0.418 0.826 0.108
Hg: 0.648 0.108 0.826
Hg: 0.453 0.453 0.267
Hg: 0.969 0.618 0.796
Hg: 0.999 0.999 0.295
Hg: 0.108 0.648 0.418
Hg: 0.966 0.561 0.236
Hg: 0.453 0.827 0.267
Hg: 0.796 0.618 0.618
Hg: 0.396 0.201 0.201
Hg: 0.267 0.453 0.453
Hg: 0.108 0.648 0.826
Hg: 0.826 0.108 0.648
Hg: 0.826 0.418 0.648
Hg: 0.673 0.327 0.327
Hg: 0.295 0.999 0.707
Hg: 0.826 0.108 0.418
Hg: 0.648 0.826 0.108
Hg: 0.236 0.966 0.236
Hg: 0.673 0.327 0.673
Hg: 0.929 0.929 0.929
Hg: 0.201 0.201 0.201
Hg: 0.108 0.826 0.418
Hg: 0.236 0.966 0.561
Hg: 0.454 0.454 0.638
Hg: 0.827 0.453 0.453
Hg: 0.453 0.267 0.453
Hg: 0.796 0.969 0.618
Hg: 0.969 0.618 0.618
Hg: 0.327 0.673 0.327
Hg: 0.618 0.969 0.618
Hg: 0.561 0.236 0.236
Hg: 0.418 0.648 0.826
Hg: 0.418 0.108 0.648
Hg: 0.618 0.796 0.618
Hg: 0.561 0.966 0.236
Hg: 0.618 0.796 0.969
Hg: 0.648 0.418 0.108
Hg: 0.826 0.648 0.108
Hg: 0.707 0.295 0.999
Hg: 0.108 0.418 0.648
Hg: 0.295 0.707 0.999
Hg: 0.236 0.561 0.236
Hg: 0.750 0.750 0.750
Hg: 0.327 0.673 0.673
Hg: 0.108 0.826 0.648
Hg: 0.327 0.020 0.327
Hg: 0.673 0.673 0.327
Hg: 0.454 0.454 0.454
Hg: 0.064 0.064 0.064
Hg: 0.327 0.327 0.020
Hg: 0.808 0.064 0.064
Hg: 0.618 0.969 0.796
Hg: 0.453 0.827 0.453
Zn: 0.607 0.131 0.131
Zn: 0.000 0.000 0.000
Zn: 0.131 0.131 0.131
Zn: 0.131 0.607 0.131
Zn: 0.131 0.131 0.607

# 3
Crystalline Pu2Te4Cl2O11 at its relaxed geometry. Source: the Materials Project database, functional PBE.

Results
The value obtained for the formation energy from the elements is -2.040 eV/atom. The magnetic moment comes out at 16.0 μB per cell. Its symmetry is P-1 (2). For the calculated total energy, the calculation gives -0.2523 hartree per atom.

Cell: 8.164 9.791 10.642 Å, 110.47 108.37 97.41°
Fractional coordinates of all 38 atoms:
Pu: 0.124 0.876 0.881
Pu: 0.876 0.124 0.119
Pu: 0.619 0.386 0.380
Pu: 0.381 0.614 0.620
O: 0.331 0.825 0.048
O: 0.598 0.491 0.618
O: 0.830 0.243 0.335
O: 0.534 0.349 0.152
O: 0.692 0.925 0.083
O: 0.170 0.757 0.665
O: 0.073 0.107 0.336
O: 0.566 0.822 0.667
O: 0.820 0.591 0.438
O: 0.056 0.339 0.180
O: 0.434 0.178 0.333
O: 0.927 0.893 0.664
O: 0.402 0.509 0.382
O: 0.832 0.357 0.586
O: 0.108 0.991 0.103
O: 0.466 0.651 0.848
O: 0.944 0.661 0.820
O: 0.180 0.409 0.562
O: 0.892 0.009 0.897
O: 0.669 0.175 0.952
O: 0.308 0.075 0.917
O: 0.168 0.643 0.414
Te: 0.998 0.766 0.494
Te: 0.256 0.009 0.292
Te: 0.744 0.991 0.708
Te: 0.799 0.468 0.763
Te: 0.467 0.252 0.947
Te: 0.201 0.532 0.237
Te: 0.533 0.748 0.053
Te: 0.002 0.234 0.506
Cl: 0.096 0.370 0.873
Cl: 0.640 0.899 0.392
Cl: 0.904 0.630 0.127
Cl: 0.360 0.101 0.608

# 4
Crystalline K3AlTe3 at its relaxed geometry. Source: the Materials Project database, functional PBE.

Results
The value obtained for the formation energy from the elements is -1.121 eV/atom. Its symmetry is P2_1/c (14). For the calculated total energy, the calculation gives -0.1212 hartree per atom.

Cell: 14.252 8.765 11.256 Å, 52.41 90.00 90.00°
Fractional coordinates of all 28 atoms:
Te: 0.447 0.139 0.765
Te: 0.101 0.178 0.860
Te: 0.399 0.178 0.360
Te: 0.899 0.822 0.140
Te: 0.807 0.328 0.697
Te: 0.947 0.861 0.735
Te: 0.193 0.672 0.303
Te: 0.601 0.822 0.640
Te: 0.307 0.672 0.803
Te: 0.053 0.139 0.265
Te: 0.553 0.861 0.235
Te: 0.693 0.328 0.197
K: 0.113 0.638 0.026
K: 0.605 0.317 0.903
K: 0.613 0.362 0.474
K: 0.689 0.852 0.927
K: 0.105 0.683 0.597
K: 0.895 0.317 0.403
K: 0.887 0.362 0.974
K: 0.189 0.148 0.573
K: 0.387 0.638 0.526
K: 0.811 0.852 0.427
K: 0.311 0.148 0.073
K: 0.395 0.683 0.097
Al: 0.434 0.946 0.659
Al: 0.934 0.054 0.841
Al: 0.066 0.946 0.159
Al: 0.566 0.054 0.341

# 5
Crystalline Al4InAgSe8 at its relaxed geometry. Source: the Materials Project database, functional PBE.

Results
The value obtained for the formation energy from the elements is -0.995 eV/atom. Its symmetry is C2 (5). For the calculated total energy, the calculation gives -0.1540 hartree per atom.

Cell: 6.841 6.841 8.278 Å, 89.77 89.77 105.48°
Fractional coordinates of all 14 atoms:
Se: 0.857 0.132 0.734
Se: 0.905 0.635 0.498
Se: 0.366 0.637 0.233
Se: 0.365 0.095 0.502
Se: 0.363 0.634 0.767
Se: 0.401 0.127 0.999
Se: 0.868 0.143 0.266
Se: 0.873 0.599 0.001
Ag: 0.999 0.001 0.000
Al: 0.988 0.012 0.500
Al: 0.511 0.010 0.246
Al: 0.990 0.489 0.754
Al: 0.512 0.488 0.000
In: 0.502 0.498 0.500

# 6
Crystalline GdBiPt at its relaxed geometry. Source: the Materials Project database, functional PBE.

Results
The value obtained for the formation energy from the elements is -1.021 eV/atom. Its symmetry is F-43m (216). For the calculated total energy, the calculation gives -0.3320 hartree per atom.

Cell: 4.804 4.804 4.804 Å, 60.00 60.00 60.00°
Fractional coordinates of all 3 atoms:
Pt: 0.250 0.250 0.250
Gd: 0.500 0.500 0.500
Bi: 0.000 0.000 0.000

# 7
Crystalline Ag3SbS3 at its relaxed geometry. Source: the Materials Project database, functional PBE.

Results
The value obtained for the formation energy from the elements is -0.069 eV/atom. The magnetic moment comes out at 0.0 μB per cell. Its symmetry is Cc (9). The energy relative to the lowest polymorph listed for this composition is 0.280 eV per atom. For the calculated total energy, the calculation gives -0.1260 hartree per atom.

Cell: 4.906 5.052 14.203 Å, 89.93 99.94 90.43°
Fractional coordinates of all 14 atoms:
S: 0.817 0.388 0.743
S: 0.348 0.125 0.201
S: 0.139 0.967 0.507
S: 0.147 0.625 0.799
S: 0.074 0.888 0.257
S: 0.632 0.467 0.493
Sb: 0.149 0.527 0.057
Sb: 0.091 0.027 0.943
Ag: 0.136 0.466 0.502
Ag: 0.092 0.016 0.680
Ag: 0.413 0.516 0.320
Ag: 0.548 0.235 0.869
Ag: 0.634 0.966 0.498
Ag: 0.679 0.735 0.131

# 8
Crystalline LiUI6 at its relaxed geometry. Source: the Materials Project database, functional PBE.

Results
The value obtained for the formation energy from the elements is -1.163 eV/atom. Its symmetry is C2 (5). For the calculated total energy, the calculation gives -0.1349 hartree per atom.

Cell: 7.617 7.617 7.416 Å, 79.25 79.25 117.39°
Fractional coordinates of all 8 atoms:
I: 0.616 0.937 0.255
I: 0.063 0.384 0.745
I: 0.766 0.774 0.765
I: 0.226 0.234 0.235
I: 0.924 0.607 0.242
I: 0.393 0.076 0.758
Li: 0.846 0.154 0.500
U: 0.001 0.999 0.000

# 9
Crystalline Na2Sn3O7 at its relaxed geometry. Source: the Materials Project database, functional PBE.

Results
The value obtained for the formation energy from the elements is -2.067 eV/atom. The magnetic moment comes out at 0.0 μB per cell. Its symmetry is Pnma (62). For the calculated total energy, the calculation gives -0.2122 hartree per atom.

Cell: 16.745 3.167 12.077 Å, 90.00 90.00 90.00°
Fractional coordinates of all 48 atoms:
Sn: 0.714 0.750 0.290
Sn: 0.618 0.750 0.850
Sn: 0.382 0.250 0.150
Sn: 0.118 0.750 0.650
Sn: 0.214 0.750 0.210
Sn: 0.786 0.250 0.790
Sn: 0.882 0.250 0.350
Sn: 0.522 0.250 0.384
Sn: 0.286 0.250 0.710
Sn: 0.478 0.750 0.616
Sn: 0.978 0.750 0.884
Sn: 0.022 0.250 0.116
O: 0.492 0.250 0.224
O: 0.008 0.750 0.724
O: 0.187 0.250 0.314
O: 0.912 0.750 0.452
O: 0.896 0.250 0.871
O: 0.947 0.750 0.059
O: 0.088 0.250 0.548
O: 0.836 0.750 0.244
O: 0.246 0.750 0.599
O: 0.746 0.750 0.901
O: 0.664 0.250 0.744
O: 0.396 0.250 0.629
O: 0.508 0.750 0.776
O: 0.053 0.250 0.941
O: 0.553 0.250 0.559
O: 0.313 0.750 0.814
O: 0.254 0.250 0.099
O: 0.687 0.250 0.186
O: 0.588 0.250 0.952
O: 0.992 0.250 0.276
O: 0.104 0.750 0.129
O: 0.336 0.750 0.256
O: 0.813 0.750 0.686
O: 0.447 0.750 0.441
O: 0.754 0.250 0.401
O: 0.164 0.250 0.756
O: 0.604 0.750 0.371
O: 0.412 0.750 0.048
Na: 0.693 0.750 0.562
Na: 0.565 0.750 0.110
Na: 0.435 0.250 0.890
Na: 0.307 0.250 0.438
Na: 0.807 0.250 0.062
Na: 0.065 0.750 0.390
Na: 0.193 0.750 0.938
Na: 0.935 0.250 0.610

# 10
Crystalline Na3Hg2 at its relaxed geometry. Source: the Materials Project database, functional PBE.

Results
The value obtained for the formation energy from the elements is -0.164 eV/atom. The magnetic moment comes out at 0.0 μB per cell. Its symmetry is P4_2/mnm (136). The energy relative to the lowest polymorph listed for this composition is 0.048 eV per atom. For the calculated total energy, the calculation gives -0.0397 hartree per atom.

Cell: 9.068 9.068 7.070 Å, 90.00 90.00 90.00°
Fractional coordinates of all 20 atoms:
Na: 0.683 0.683 0.500
Na: 0.142 0.858 0.500
Na: 0.358 0.358 0.000
Na: 0.317 0.317 0.500
Na: 0.642 0.642 0.000
Na: 0.000 0.500 0.500
Na: 0.183 0.817 0.000
Na: 0.858 0.142 0.500
Na: 0.500 0.000 0.000
Na: 0.500 0.000 0.500
Na: 0.000 0.500 0.000
Na: 0.817 0.183 0.000
Hg: 0.870 0.870 0.788
Hg: 0.630 0.370 0.288
Hg: 0.870 0.870 0.212
Hg: 0.130 0.130 0.788
Hg: 0.130 0.130 0.212
Hg: 0.370 0.630 0.288
Hg: 0.630 0.370 0.712
Hg: 0.370 0.630 0.712

# 11
Crystalline SrLaI5 at its relaxed geometry. Source: the Materials Project database, functional PBE.

Results
The value obtained for the formation energy from the elements is -1.860 eV/atom. The magnetic moment comes out at 0.0 μB per cell. Its symmetry is P2_1/m (11). The energy relative to the lowest polymorph listed for this composition is 0.000 eV per atom. For the calculated total energy, the calculation gives -0.1332 hartree per atom.

Cell: 4.686 9.345 15.079 Å, 87.62 90.00 90.00°
Fractional coordinates of all 14 atoms:
I: 0.250 0.352 0.865
I: 0.250 0.851 0.925
I: 0.750 0.648 0.135
I: 0.750 0.320 0.514
I: 0.750 0.628 0.711
I: 0.250 0.680 0.486
I: 0.250 0.372 0.289
I: 0.750 0.149 0.075
I: 0.750 0.925 0.320
I: 0.250 0.075 0.680
Sr: 0.250 0.918 0.141
Sr: 0.750 0.082 0.859
La: 0.250 0.419 0.653
La: 0.750 0.581 0.347

# 12
Crystalline K2SnCl6 at its relaxed geometry. Source: the Materials Project database, functional PBE.

Results
The value obtained for the formation energy from the elements is -1.864 eV/atom. Its symmetry is P2_1/c (14). The energy relative to the lowest polymorph listed for this composition is 0.000 eV per atom. For the calculated total energy, the calculation gives -0.1242 hartree per atom.

Cell: 7.229 7.238 12.541 Å, 55.20 90.00 90.00°
Fractional coordinates of all 18 atoms:
Cl: 0.291 0.291 0.478
Cl: 0.791 0.709 0.022
Cl: 0.730 0.226 0.982
Cl: 0.501 0.805 0.738
Cl: 0.230 0.774 0.518
Cl: 0.001 0.195 0.762
Cl: 0.709 0.709 0.522
Cl: 0.499 0.195 0.262
Cl: 0.270 0.774 0.018
Cl: 0.209 0.291 0.978
Cl: 0.999 0.805 0.238
Cl: 0.770 0.226 0.482
K: 0.473 0.262 0.745
K: 0.973 0.738 0.755
K: 0.527 0.738 0.255
K: 0.027 0.262 0.245
Sn: 0.000 0.000 0.000
Sn: 0.500 0.000 0.500